First-principles (r²SCAN) data for a geometry-optimized ScH13Cl2O7 structure, as listed in Materials Project.

The structure in CIF format:
```
data_ScH13Cl2O7
_chemical_formula_sum 'Sc4 H52 Cl8 O28'
_symmetry_space_group_name_H-M 'P 1'
_symmetry_Int_Tables_number 1
_symmetry_space_group_name_Hall 'P 1'
_cell_length_a 8.594
_cell_length_b 15.640
_cell_length_c 7.067
_cell_angle_alpha 90.00
_cell_angle_beta 90.00
_cell_angle_gamma 90.00
loop_
_atom_site_label
_atom_site_fract_x
_atom_site_fract_y
_atom_site_fract_z
Sc1 0.133 0.080 0.000
Sc2 0.367 0.580 0.500
Sc3 0.633 0.420 0.500
Sc4 0.867 0.920 0.000
H1 0.023 0.352 0.000
H2 0.054 0.847 0.281
H3 0.054 0.847 0.719
H4 0.078 0.679 0.500
H5 0.096 0.210 0.295
H6 0.096 0.210 0.705
H7 0.132 0.703 0.000
H8 0.164 0.583 0.180
H9 0.164 0.583 0.820
H10 0.184 0.905 0.000
H11 0.214 0.746 0.500
H12 0.227 0.488 0.207
H13 0.227 0.488 0.793
H14 0.273 0.988 0.293
H15 0.273 0.988 0.707
H16 0.286 0.246 0.000
H17 0.316 0.405 0.500
H18 0.336 0.083 0.320
H19 0.336 0.083 0.680
H20 0.368 0.203 0.500
H21 0.404 0.710 0.205
H22 0.404 0.710 0.795
H23 0.422 0.179 0.000
H24 0.446 0.347 0.219
H25 0.446 0.347 0.781
H26 0.477 0.852 0.500
H27 0.523 0.148 0.500
H28 0.554 0.653 0.219
H29 0.554 0.653 0.781
H30 0.578 0.821 0.000
H31 0.596 0.290 0.205
H32 0.596 0.290 0.795
H33 0.632 0.797 0.500
H34 0.664 0.917 0.320
H35 0.664 0.917 0.680
H36 0.684 0.595 0.500
H37 0.714 0.754 0.000
H38 0.727 0.012 0.293
H39 0.727 0.012 0.707
H40 0.773 0.512 0.207
H41 0.773 0.512 0.793
H42 0.786 0.254 0.500
H43 0.816 0.095 0.000
H44 0.836 0.417 0.180
H45 0.836 0.417 0.820
H46 0.868 0.297 0.000
H47 0.904 0.790 0.295
H48 0.904 0.790 0.705
H49 0.922 0.321 0.500
H50 0.946 0.153 0.281
H51 0.946 0.153 0.719
H52 0.977 0.648 0.000
Cl1 0.167 0.297 0.500
Cl2 0.231 0.882 0.500
Cl3 0.269 0.382 0.000
Cl4 0.333 0.797 0.000
Cl5 0.667 0.203 0.000
Cl6 0.731 0.618 0.000
Cl7 0.769 0.118 0.500
Cl8 0.833 0.703 0.500
O1 0.039 0.170 0.212
O2 0.039 0.170 0.788
O3 0.091 0.645 0.000
O4 0.103 0.949 0.000
O5 0.192 0.684 0.500
O6 0.211 0.543 0.271
O7 0.211 0.543 0.729
O8 0.289 0.043 0.229
O9 0.289 0.043 0.771
O10 0.308 0.184 0.000
O11 0.397 0.449 0.500
O12 0.409 0.145 0.500
O13 0.461 0.670 0.288
O14 0.461 0.670 0.712
O15 0.539 0.330 0.288
O16 0.539 0.330 0.712
O17 0.591 0.855 0.500
O18 0.603 0.551 0.500
O19 0.692 0.816 0.000
O20 0.711 0.957 0.229
O21 0.711 0.957 0.771
O22 0.789 0.457 0.271
O23 0.789 0.457 0.729
O24 0.808 0.316 0.500
O25 0.897 0.051 0.000
O26 0.909 0.355 0.000
O27 0.961 0.830 0.212
O28 0.961 0.830 0.788
```

Computed properties:
Symmetry: Pnnm

***

First-principles (r²SCAN) data for a geometry-optimized YH12Cl3O6 structure, as listed in Materials Project.

The structure in CIF format:
```
data_YH12Cl3O6
_chemical_formula_sum 'Y2 H24 Cl6 O12'
_symmetry_space_group_name_H-M 'P 1'
_symmetry_Int_Tables_number 1
_symmetry_space_group_name_Hall 'P 1'
_cell_length_a 7.784
_cell_length_b 6.469
_cell_length_c 11.902
_cell_angle_alpha 90.00
_cell_angle_beta 127.01
_cell_angle_gamma 90.00
loop_
_atom_site_label
_atom_site_fract_x
_atom_site_fract_y
_atom_site_fract_z
Y1 0.000 0.156 0.250
Y2 0.000 0.844 0.750
H1 0.032 0.450 0.886
H2 0.032 0.550 0.386
H3 0.201 0.470 0.183
H4 0.201 0.530 0.683
H5 0.242 0.096 0.132
H6 0.242 0.904 0.632
H7 0.322 0.085 0.739
H8 0.322 0.915 0.239
H9 0.367 0.335 0.530
H10 0.367 0.665 0.030
H11 0.466 0.248 0.458
H12 0.466 0.752 0.958
H13 0.534 0.248 0.042
H14 0.534 0.752 0.542
H15 0.633 0.335 0.970
H16 0.633 0.665 0.470
H17 0.678 0.085 0.761
H18 0.678 0.915 0.261
H19 0.758 0.096 0.368
H20 0.758 0.904 0.868
H21 0.799 0.470 0.317
H22 0.799 0.530 0.817
H23 0.968 0.450 0.614
H24 0.968 0.550 0.114
Cl1 0.202 0.167 0.942
Cl2 0.202 0.833 0.442
Cl3 0.500 0.372 0.750
Cl4 0.500 0.628 0.250
Cl5 0.798 0.167 0.558
Cl6 0.798 0.833 0.058
O1 0.056 0.424 0.144
O2 0.056 0.576 0.644
O3 0.259 0.053 0.218
O4 0.259 0.947 0.718
O5 0.331 0.298 0.438
O6 0.331 0.702 0.938
O7 0.669 0.298 0.062
O8 0.669 0.702 0.562
O9 0.741 0.053 0.282
O10 0.741 0.947 0.782
O11 0.944 0.424 0.356
O12 0.944 0.576 0.856
```

Computed properties:
Symmetry: P2/c

***

First-principles (r²SCAN) data for a geometry-optimized ScHCl structure, as listed in Materials Project.

The structure in CIF format:
```
data_ScHCl
_chemical_formula_sum 'Sc2 H2 Cl2'
_symmetry_space_group_name_H-M 'P 1'
_symmetry_Int_Tables_number 1
_symmetry_space_group_name_Hall 'P 1'
_cell_length_a 9.450
_cell_length_b 9.450
_cell_length_c 9.450
_cell_angle_alpha 21.32
_cell_angle_beta 21.32
_cell_angle_gamma 21.32
loop_
_atom_site_label
_atom_site_fract_x
_atom_site_fract_y
_atom_site_fract_z
Sc1 0.121 0.121 0.121
Sc2 0.879 0.879 0.879
H1 0.194 0.194 0.194
H2 0.806 0.806 0.806
Cl1 0.396 0.396 0.396
Cl2 0.604 0.604 0.604
```

Computed properties:
Symmetry: R-3m

***

First-principles (r²SCAN) data for a geometry-optimized SrHCl structure, as listed in Materials Project.

The structure in CIF format:
```
data_SrHCl
_chemical_formula_sum 'Sr2 H2 Cl2'
_symmetry_space_group_name_H-M 'P 1'
_symmetry_Int_Tables_number 1
_symmetry_space_group_name_Hall 'P 1'
_cell_length_a 4.107
_cell_length_b 4.107
_cell_length_c 6.985
_cell_angle_alpha 90.00
_cell_angle_beta 90.00
_cell_angle_gamma 90.00
loop_
_atom_site_label
_atom_site_fract_x
_atom_site_fract_y
_atom_site_fract_z
Sr1 0.250 0.250 0.202
Sr2 0.750 0.750 0.798
H1 0.250 0.750 0.000
H2 0.750 0.250 0.000
Cl1 0.250 0.250 0.649
Cl2 0.750 0.750 0.351
```

Computed properties:
Symmetry: P4/nmm

***

Summary of theoretical density in g cm⁻³
1.68; 2.11; 2.77; 3.50
(order as listed above)
Summary of energy of formation from the pure elements in eV/atom
-1.331; -1.366; -1.509; -1.763
(order as listed above)